1.
DFT (GGA+U) results for a relaxed structure of SmMgCoO3.

Summary:
Energy of formation from the pure elements, meV/atom: -1661

a b c (Å): 3.7885 3.7885 6.3298
angles (deg): 90.00 90.00 90.00
Atoms (fractional coordinates):
Sm 0.0000 0.0000 0.0000
Mg 0.0000 0.0000 0.5000
Co 0.5000 0.5000 0.5000
O 0.0000 0.5000 0.5000
O 0.5000 0.0000 0.5000
O 0.5000 0.5000 0.0000



2.
DFT (GGA+U) results for a relaxed structure of Mg14CoSnO16.

Summary:
Energy of formation from the pure elements, meV/atom: -2748

a b c (Å): 8.6754 8.6754 4.3119
angles (deg): 90.00 90.00 90.00
Atoms (fractional coordinates):
Mg 0.0000 0.2449 0.0000
Mg 0.0000 0.5000 0.5000
Mg 0.0000 0.7551 0.0000
Mg 0.2373 0.5000 0.0000
Mg 0.2409 0.2409 0.5000
Mg 0.2409 0.7591 0.5000
Mg 0.2449 0.0000 0.0000
Mg 0.5000 0.0000 0.5000
Mg 0.5000 0.2373 0.0000
Mg 0.5000 0.7627 0.0000
Mg 0.7551 0.0000 0.0000
Mg 0.7591 0.2409 0.5000
Mg 0.7591 0.7591 0.5000
Mg 0.7627 0.5000 0.0000
Co 0.0000 0.0000 0.5000
Sn 0.5000 0.5000 0.5000
O 0.0000 0.0000 0.0000
O 0.0000 0.2590 0.5000
O 0.0000 0.5000 0.0000
O 0.0000 0.7410 0.5000
O 0.2374 0.5000 0.5000
O 0.2508 0.2508 0.0000
O 0.2508 0.7492 0.0000
O 0.2590 0.0000 0.5000
O 0.5000 0.0000 0.0000
O 0.5000 0.2374 0.5000
O 0.5000 0.5000 0.0000
O 0.5000 0.7626 0.5000
O 0.7410 0.0000 0.5000
O 0.7492 0.2508 0.0000
O 0.7492 0.7492 0.0000
O 0.7626 0.5000 0.5000



3.
DFT (GGA+U) results for a relaxed structure of Mg14CoSnO16.

Summary:
Energy of formation from the pure elements, meV/atom: -2749

a b c (Å): 4.3120 8.6691 8.6876
angles (deg): 90.00 90.00 90.00
Atoms (fractional coordinates):
Mg 0.0000 0.0000 0.0000
Mg 0.0000 0.0000 0.5000
Mg 0.0000 0.2466 0.2411
Mg 0.0000 0.2466 0.7589
Mg 0.0000 0.7534 0.2411
Mg 0.0000 0.7534 0.7589
Mg 0.5000 0.0000 0.2469
Mg 0.5000 0.0000 0.7531
Mg 0.5000 0.2392 0.5000
Mg 0.5000 0.2511 0.0000
Mg 0.5000 0.5000 0.2344
Mg 0.5000 0.5000 0.7656
Mg 0.5000 0.7489 0.0000
Mg 0.5000 0.7608 0.5000
Co 0.0000 0.5000 0.0000
Sn 0.0000 0.5000 0.5000
O 0.0000 0.0000 0.2498
O 0.0000 0.0000 0.7502
O 0.0000 0.2351 0.5000
O 0.0000 0.2371 0.0000
O 0.0000 0.5000 0.2441
O 0.0000 0.5000 0.7559
O 0.0000 0.7629 0.0000
O 0.0000 0.7649 0.5000
O 0.5000 0.0000 0.0000
O 0.5000 0.0000 0.5000
O 0.5000 0.2513 0.2508
O 0.5000 0.2513 0.7492
O 0.5000 0.5000 0.0000
O 0.5000 0.5000 0.5000
O 0.5000 0.7487 0.2508
O 0.5000 0.7487 0.7492



4.
DFT (GGA+U) results for a relaxed structure of SrMgCo4O12.

Summary:
Energy of formation from the pure elements, meV/atom: -1098

a b c (Å): 5.2981 5.2981 7.4484
angles (deg): 90.00 90.00 90.00
Atoms (fractional coordinates):
Sr 0.0000 0.0000 0.0000
Mg 0.5000 0.5000 0.5000
Co 0.0000 0.5000 0.2519
Co 0.0000 0.5000 0.7481
Co 0.5000 0.0000 0.2519
Co 0.5000 0.0000 0.7481
O 0.0000 0.5000 0.0000
O 0.0000 0.5000 0.5000
O 0.2566 0.2566 0.2605
O 0.2566 0.2566 0.7395
O 0.2566 0.7434 0.2605
O 0.2566 0.7434 0.7395
O 0.5000 0.0000 0.0000
O 0.5000 0.0000 0.5000
O 0.7434 0.2566 0.2605
O 0.7434 0.2566 0.7395
O 0.7434 0.7434 0.2605
O 0.7434 0.7434 0.7395



5.
DFT (GGA+U) results for a relaxed structure of Sr2MgCoO4.

Summary:
Energy relative to the lowest polymorph listed for this composition, eV/f.u.: 0.00
Energy of formation from the pure elements, meV/atom: -2422

a b c (Å): 3.8529 5.1314 7.2722
angles (deg): 75.75 77.50 84.87
Atoms (fractional coordinates):
Sr 0.0000 0.0000 0.0000
Sr 0.3764 0.5933 0.4140
Mg 0.6052 0.6233 0.8088
Co 0.8788 0.0556 0.5606
O 0.1277 0.7650 0.7221
O 0.5065 0.6952 0.0653
O 0.6979 0.3016 0.7019
O 0.8642 0.9210 0.3562



6.
DFT (GGA+U) results for a relaxed structure of Sr2MgCoO4.

Summary:
Energy relative to the lowest polymorph listed for this composition, eV/f.u.: 0.19
Energy of formation from the pure elements, meV/atom: -2399

a b c (Å): 4.0166 4.0166 6.9182
angles (deg): 90.30 90.30 90.16
Atoms (fractional coordinates):
Sr 0.9997 0.9997 0.2434
Sr 0.0003 0.0003 0.7566
Mg 0.5006 0.4994 0.0000
Co 0.4995 0.5005 0.5000
O 0.0007 0.4996 0.9946
O 0.4999 0.0013 0.5019
O 0.5004 0.9993 0.0054
O 0.9987 0.5001 0.4981